Entry 1:
Ce2Si5Pd3 | r2SCAN | relaxed

Cell lengths 8.2822, 8.2822, 8.2822 Å; angles 137.44, 105.89, 89.41 degrees
With the nearest neighbours (Å) after each atom.
Fractional coordinates of all 20 atoms:
Ce  0.1390  0.1229  0.5175  10 Si 3.08-3.27, 7 Pd 3.18-3.41
Ce  0.3946  0.8771  0.0161  10 Si 3.08-3.27, 7 Pd 3.18-3.41
Ce  0.6054  0.6215  0.4825  10 Si 3.08-3.27, 7 Pd 3.18-3.41
Ce  0.8610  0.3785  0.9839  10 Si 3.08-3.27, 7 Pd 3.18-3.41
Si  0.0343  0.6354  0.8983  3 Pd 2.44-2.51, 2 Si 2.48
Si  0.2252  0.2252  0.0000  3 Pd 2.46-2.65, 2 Si 2.48
Si  0.2254  0.7254  0.5000  3 Pd 2.45-2.65, 2 Si 2.48
Si  0.2629  0.3646  0.3989  3 Pd 2.44-2.51, 2 Si 2.48
Si  0.5000  0.0000  0.5000  4 Pd 2.46
Si  0.5000  0.5000  0.0000  4 Pd 2.47
Si  0.7371  0.1360  0.1017  3 Pd 2.44-2.51, 2 Si 2.48
Si  0.7746  0.2746  0.5000  3 Pd 2.45-2.65, 2 Si 2.48
Si  0.7748  0.7748  0.0000  3 Pd 2.46-2.65, 2 Si 2.48
Si  0.9657  0.8640  0.6011  3 Pd 2.44-2.51, 2 Si 2.48
Pd  0.0000  0.0000  0.0000  6 Si 2.51-2.65
Pd  0.0000  0.5000  0.5000  6 Si 2.50-2.65
Pd  0.2533  0.6124  0.1419  5 Si 2.44-2.47
Pd  0.4705  0.1114  0.8581  5 Si 2.44-2.47
Pd  0.5295  0.3876  0.6409  5 Si 2.44-2.47
Pd  0.7467  0.8886  0.3591  5 Si 2.44-2.47

Output
Its density is 6.96 Mg/m³. The total DFT energy (no corrections) is -18.30 eV per atom. As for the space group: I222 (23). The calculation puts the volume at 17.66 Å³/atom.

=====

Entry 2:
CeSi2Pd2 | r2SCAN | relaxed

Cell lengths 4.2356, 4.2356, 9.9062 Å; angles 90.00, 90.00, 90.00 degrees
With the nearest neighbours (Å) after each atom.
Fractional coordinates of all 10 atoms:
Ce  0.0000  0.0000  0.0000  8 Si 3.22, 8 Pd 3.26
Ce  0.5000  0.5000  0.5000  8 Si 3.22, 8 Pd 3.26
Si  0.0000  0.0000  0.3809  1 Si 2.36, 4 Pd 2.48
Si  0.0000  0.0000  0.6191  1 Si 2.36, 4 Pd 2.48
Si  0.5000  0.5000  0.1191  1 Si 2.36, 4 Pd 2.48
Si  0.5000  0.5000  0.8809  1 Si 2.36, 4 Pd 2.48
Pd  0.0000  0.5000  0.2500  4 Si 2.48
Pd  0.0000  0.5000  0.7500  4 Si 2.48
Pd  0.5000  0.0000  0.2500  4 Si 2.48
Pd  0.5000  0.0000  0.7500  4 Si 2.48

Output
Its density is 7.65 Mg/m³. The total DFT energy (no corrections) is -19.81 eV per atom. As for the space group: I4/mmm (139). The calculation puts the volume at 17.77 Å³/atom.

=====

Entry 3:
Ce3Si6Pd20 | r2SCAN | relaxed

Cell lengths 8.7122, 8.7122, 8.7122 Å; angles 60.00, 60.00, 60.00 degrees
With the nearest neighbours (Å) after each atom.
Fractional coordinates of all 29 atoms:
Ce  0.0000  0.0000  0.0000  12 Pd 3.02, 6 Si 3.30
Ce  0.2500  0.2500  0.2500  4 Pd 2.88
Ce  0.7500  0.7500  0.7500  4 Pd 2.88
Si  0.2674  0.2674  0.7326  8 Pd 2.43-2.47
Si  0.2674  0.7326  0.2674  8 Pd 2.43-2.47
Si  0.2674  0.7326  0.7326  8 Pd 2.43-2.47
Si  0.7326  0.2674  0.2674  8 Pd 2.43-2.47
Si  0.7326  0.2674  0.7326  8 Pd 2.43-2.47
Si  0.7326  0.7326  0.2674  8 Pd 2.43-2.47
Pd  0.0000  0.0000  0.3464  2 Si 2.43, 1 Pd 2.68
Pd  0.0000  0.0000  0.6536  2 Si 2.43, 1 Pd 2.68
Pd  0.0000  0.3464  0.0000  2 Si 2.43, 1 Pd 2.68
Pd  0.0000  0.3464  0.6536  2 Si 2.43, 1 Pd 2.68
Pd  0.0000  0.6536  0.0000  2 Si 2.43, 1 Pd 2.68
Pd  0.0000  0.6536  0.3464  2 Si 2.43, 1 Pd 2.68
Pd  0.1551  0.6150  0.6150  3 Si 2.47
Pd  0.3464  0.0000  0.0000  2 Si 2.43, 1 Pd 2.68
Pd  0.3464  0.0000  0.6536  2 Si 2.43, 1 Pd 2.68
Pd  0.3464  0.6536  0.0000  2 Si 2.43, 1 Pd 2.68
Pd  0.3850  0.3850  0.3850  3 Si 2.47
Pd  0.3850  0.3850  0.8449  3 Si 2.47
Pd  0.3850  0.8449  0.3850  3 Si 2.47
Pd  0.6150  0.1551  0.6150  3 Si 2.47
Pd  0.6150  0.6150  0.1551  3 Si 2.47
Pd  0.6150  0.6150  0.6150  3 Si 2.47
Pd  0.6536  0.0000  0.0000  2 Si 2.43, 1 Pd 2.68
Pd  0.6536  0.0000  0.3464  2 Si 2.43, 1 Pd 2.68
Pd  0.6536  0.3464  0.0000  2 Si 2.43, 1 Pd 2.68
Pd  0.8449  0.3850  0.3850  3 Si 2.47

Output
Its density is 9.65 Mg/m³. The total DFT energy (no corrections) is -21.64 eV per atom. As for the space group: Fm-3m (225). The calculation puts the volume at 16.12 Å³/atom.

=====

Entry 4:
CeSn2Pd2 | r2SCAN | relaxed

Cell lengths 4.5778, 4.5778, 10.7349 Å; angles 90.00, 90.00, 90.00 degrees
With the nearest neighbours (Å) after each atom.
Fractional coordinates of all 10 atoms:
Ce  0.2500  0.2500  0.2444  8 Sn 3.47-3.57, 8 Pd 3.48-3.51
Ce  0.7500  0.7500  0.7556  8 Sn 3.47-3.57, 8 Pd 3.48-3.51
Sn  0.2500  0.2500  0.8727  5 Pd 2.60-2.67
Sn  0.2500  0.7500  0.5000  4 Pd 2.68
Sn  0.7500  0.2500  0.5000  4 Pd 2.68
Sn  0.7500  0.7500  0.1273  5 Pd 2.60-2.67
Pd  0.2500  0.2500  0.6303  5 Sn 2.60-2.68
Pd  0.2500  0.7500  0.0000  4 Sn 2.67
Pd  0.7500  0.2500  0.0000  4 Sn 2.67
Pd  0.7500  0.7500  0.3697  5 Sn 2.60-2.68

Output
Its density is 8.72 Mg/m³. The total DFT energy (no corrections) is -26.05 eV per atom. As for the space group: P4/nmm (129). The calculation puts the volume at 22.50 Å³/atom.

=====

Entry 5:
CeSnPd | r2SCAN | relaxed

Cell lengths 7.5482, 4.7401, 7.9717 Å; angles 90.00, 90.00, 90.00 degrees
With the nearest neighbours (Å) after each atom.
Fractional coordinates of all 12 atoms:
Ce  0.0131  0.2500  0.2045  6 Pd 3.13-3.46, 6 Sn 3.27-3.41
Ce  0.4869  0.7500  0.7045  6 Pd 3.13-3.46, 6 Sn 3.27-3.41
Ce  0.5131  0.2500  0.2955  6 Pd 3.13-3.46, 6 Sn 3.27-3.41
Ce  0.9869  0.7500  0.7955  6 Pd 3.13-3.46, 6 Sn 3.27-3.41
Sn  0.1873  0.2500  0.5872  4 Pd 2.73-2.96
Sn  0.3127  0.7500  0.0872  4 Pd 2.73-2.96
Sn  0.6873  0.2500  0.9128  4 Pd 2.73-2.96
Sn  0.8127  0.7500  0.4128  4 Pd 2.73-2.96
Pd  0.2054  0.7500  0.4170  4 Sn 2.73-2.96
Pd  0.2946  0.2500  0.9170  4 Sn 2.73-2.96
Pd  0.7054  0.7500  0.0830  4 Sn 2.73-2.96
Pd  0.7946  0.2500  0.5830  4 Sn 2.73-2.96

Output
Its density is 8.51 Mg/m³. The total DFT energy (no corrections) is -27.12 eV per atom. As for the space group: Pnma (62). The calculation puts the volume at 23.77 Å³/atom.

=====

Entry 6:
CeTlPd | r2SCAN | relaxed

Cell lengths 3.9559, 7.9323, 7.9323 Å; angles 120.01, 90.00, 90.00 degrees
With the nearest neighbours (Å) after each atom.
Fractional coordinates of all 9 atoms:
Ce  0.0000  0.0000  0.0000  5 Pd 3.12-3.24, 6 Tl 3.29-3.46
Ce  0.0000  0.4081  0.8157  5 Pd 3.11-3.23, 6 Tl 3.30-3.46
Ce  0.0000  0.8157  0.4081  5 Pd 3.11-3.23, 6 Tl 3.30-3.46
Tl  0.5000  0.1487  0.4083  4 Pd 2.86-2.98
Tl  0.5000  0.4083  0.1487  4 Pd 2.86-2.98
Tl  0.5000  0.6685  0.6685  4 Pd 2.86-2.98
Pd  0.0000  0.4086  0.4086  6 Tl 2.86
Pd  0.5000  0.0751  0.7411  3 Tl 2.98, 6 Ce 3.11-3.12
Pd  0.5000  0.7411  0.0751  3 Tl 2.98, 6 Ce 3.11-3.12

Output
Its density is 10.42 Mg/m³. The total DFT energy (no corrections) is -36.35 eV per atom. As for the space group: Amm2 (38). The calculation puts the volume at 23.95 Å³/atom.

=====

Entry 7:
CeYPd6 | r2SCAN | relaxed

Cell lengths 4.1157, 4.1157, 8.2188 Å; angles 90.00, 90.00, 90.00 degrees
With the nearest neighbours (Å) after each atom.
Fractional coordinates of all 8 atoms:
Ce  0.0000  0.0000  0.0000  12 Pd 2.90-2.91
Y  0.0000  0.0000  0.5000  12 Pd 2.91-2.92
Pd  0.0000  0.5000  0.2482  8 Pd 2.90-2.92, 2 Ce 2.90, 2 Y 2.92
Pd  0.0000  0.5000  0.7518  2 Ce 2.90, 8 Pd 2.90-2.92, 2 Y 2.92
Pd  0.5000  0.0000  0.2482  8 Pd 2.90-2.92, 2 Ce 2.90, 2 Y 2.92
Pd  0.5000  0.0000  0.7518  2 Ce 2.90, 8 Pd 2.90-2.92, 2 Y 2.92
Pd  0.5000  0.5000  0.0000  8 Pd 2.90, 4 Ce 2.91
Pd  0.5000  0.5000  0.5000  4 Y 2.91, 8 Pd 2.92

Output
Its density is 10.35 Mg/m³. The total DFT energy (no corrections) is -24.49 eV per atom. As for the space group: P4/mmm (123). The calculation puts the volume at 17.40 Å³/atom.

=====

Entry 8:
Ce3Pt4 | r2SCAN | relaxed

Cell lengths 8.1307, 8.1307, 8.1307 Å; angles 114.62, 114.62, 114.62 degrees
With the nearest neighbours (Å) after each atom.
Fractional coordinates of all 14 atoms:
Ce  0.0320  0.2840  0.4071  7 Pt 2.89-3.15
Ce  0.2840  0.4071  0.0320  7 Pt 2.89-3.15
Ce  0.4071  0.0320  0.2840  7 Pt 2.89-3.15
Ce  0.5929  0.9680  0.7160  7 Pt 2.89-3.15
Ce  0.7160  0.5929  0.9680  7 Pt 2.89-3.15
Ce  0.9680  0.7160  0.5929  7 Pt 2.89-3.15
Pt  0.0000  0.0000  0.0000  2 Pt 2.88, 6 Ce 2.96
Pt  0.0572  0.5546  0.2225  5 Ce 2.89-3.15, 3 Pt 2.93-3.00
Pt  0.2225  0.0572  0.5546  5 Ce 2.89-3.15, 3 Pt 2.93-3.00
Pt  0.4454  0.7775  0.9428  5 Ce 2.89-3.15, 3 Pt 2.93-3.00
Pt  0.5000  0.5000  0.5000  2 Pt 2.88, 6 Ce 3.01
Pt  0.5546  0.2225  0.0572  5 Ce 2.89-3.15, 3 Pt 2.93-3.00
Pt  0.7775  0.9428  0.4454  5 Ce 2.89-3.15, 3 Pt 2.93-3.00
Pt  0.9428  0.4454  0.7775  5 Ce 2.89-3.15, 3 Pt 2.93-3.00

Output
Its density is 12.82 Mg/m³. The total DFT energy (no corrections) is -43.85 eV per atom. As for the space group: R-3 (148). The calculation puts the volume at 22.22 Å³/atom.

=====

Entry 9:
CePt | r2SCAN | relaxed

Cell lengths 3.9149, 11.1846, 4.4137 Å; angles 90.00, 90.00, 90.00 degrees
With the nearest neighbours (Å) after each atom.
Fractional coordinates of all 8 atoms:
Ce  0.0000  0.1367  0.2500  7 Pt 2.99-3.22
Ce  0.0000  0.8633  0.7500  7 Pt 2.99-3.22
Ce  0.5000  0.3633  0.7500  7 Pt 2.99-3.22
Ce  0.5000  0.6367  0.2500  7 Pt 2.99-3.22
Pt  0.0000  0.4083  0.2500  7 Ce 2.99-3.22, 2 Pt 3.01
Pt  0.0000  0.5917  0.7500  7 Ce 2.99-3.22, 2 Pt 3.01
Pt  0.5000  0.0917  0.7500  7 Ce 2.99-3.22, 2 Pt 3.01
Pt  0.5000  0.9083  0.2500  7 Ce 2.99-3.22, 2 Pt 3.01

Output
Its density is 11.52 Mg/m³. The total DFT energy (no corrections) is -42.40 eV per atom. As for the space group: Cmcm (63). The calculation puts the volume at 24.16 Å³/atom.

=====

Entry 10:
CePtRh | r2SCAN | relaxed

Cell lengths 5.3866, 5.4543, 7.6656 Å; angles 90.00, 90.00, 90.00 degrees
With the nearest neighbours (Å) after each atom.
Fractional coordinates of all 12 atoms:
Ce  0.0000  0.2500  0.1269  6 Rh 3.17, 6 Pt 3.18-3.19, 4 Ce 3.29-3.35
Ce  0.0000  0.7500  0.8731  6 Rh 3.17, 6 Pt 3.18-3.19, 4 Ce 3.29-3.35
Ce  0.5000  0.2500  0.3731  6 Rh 3.17, 6 Pt 3.18-3.19, 4 Ce 3.29-3.35
Ce  0.5000  0.7500  0.6269  6 Rh 3.17, 6 Pt 3.18-3.19, 4 Ce 3.29-3.35
Pt  0.2500  0.2500  0.7500  2 Pt 2.69, 4 Rh 2.71
Pt  0.2500  0.7500  0.2500  2 Pt 2.69, 4 Rh 2.71
Pt  0.7500  0.2500  0.7500  2 Pt 2.69, 4 Rh 2.71
Pt  0.7500  0.7500  0.2500  2 Pt 2.69, 4 Rh 2.71
Rh  0.0000  0.0000  0.5000  4 Pt 2.71, 2 Rh 2.73
Rh  0.0000  0.5000  0.5000  4 Pt 2.71, 2 Rh 2.73
Rh  0.5000  0.0000  0.0000  4 Pt 2.71, 2 Rh 2.73
Rh  0.5000  0.5000  0.0000  4 Pt 2.71, 2 Rh 2.73

Output
Its density is 12.92 Mg/m³. The total DFT energy (no corrections) is -36.47 eV per atom. As for the space group: Imma (74). The calculation puts the volume at 18.77 Å³/atom.

=====

Entry 11:
CeSi3Pt | r2SCAN | relaxed

Cell lengths 4.3170, 4.3170, 9.6293 Å; angles 90.00, 90.00, 90.00 degrees
With the nearest neighbours (Å) after each atom.
Fractional coordinates of all 10 atoms:
Ce  0.0000  0.0000  0.0000  12 Si 3.14-3.33, 5 Pt 3.37-3.38
Ce  0.5000  0.5000  0.5000  12 Si 3.14-3.33, 5 Pt 3.37-3.38
Si  0.0000  0.0000  0.3998  1 Pt 2.41, 4 Si 2.52
Si  0.0000  0.5000  0.2638  2 Pt 2.42, 2 Si 2.52
Si  0.0000  0.5000  0.7638  2 Pt 2.42, 2 Si 2.52
Si  0.5000  0.0000  0.2638  2 Pt 2.42, 2 Si 2.52
Si  0.5000  0.0000  0.7638  2 Pt 2.42, 2 Si 2.52
Si  0.5000  0.5000  0.8998  1 Pt 2.41, 4 Si 2.52
Pt  0.0000  0.0000  0.6503  5 Si 2.41-2.42
Pt  0.5000  0.5000  0.1503  5 Si 2.41-2.42

Output
Its density is 7.76 Mg/m³. The total DFT energy (no corrections) is -22.58 eV per atom. As for the space group: I4mm (107). The calculation puts the volume at 17.95 Å³/atom.

=====

- Which formula does entry 10 have?
  CePtRh

=====

- Number 11 is which compound?
  CeSi3Pt